# 1
## KCuF3 (r2SCAN)

Data for KCuF3 after structural relaxation.

Cell lengths 5.651, 5.647, 5.647 Å; angles 90.14, 119.90, 119.90 degrees
Sites, in units of the cell vectors:
F: 0.500 0.750 0.250
F: 0.500 0.755 0.745
F: 0.009 0.255 0.755
F: 0.500 0.245 0.255
F: 0.991 0.745 0.245
F: 0.500 0.250 0.750
Cu: 0.500 0.500 0.000
Cu: 0.500 0.000 0.500
K: 0.000 0.250 0.250
K: 0.000 0.750 0.750

- formation energy from the elements (kcal/mol of atoms) = -53.7
- symmetry = I4/mcm
- crystal system = tetragonal

***

# 2
## Si3Os2 (r2SCAN)

Data for Si3Os2 after structural relaxation.

Cell lengths 5.622, 5.622, 8.887 Å; angles 90.00, 90.00, 90.00 degrees
Sites, in units of the cell vectors:
Si: 0.644 0.204 0.907
Si: 0.169 0.831 0.250
Si: 0.204 0.356 0.093
Si: 0.796 0.356 0.593
Si: 0.831 0.831 0.750
Si: 0.356 0.204 0.407
Si: 0.356 0.796 0.907
Si: 0.796 0.644 0.093
Si: 0.204 0.644 0.593
Si: 0.644 0.796 0.407
Si: 0.831 0.169 0.250
Si: 0.169 0.169 0.750
Os: 0.000 0.000 0.000
Os: 0.500 0.000 0.128
Os: 0.500 0.500 0.750
Os: 0.000 0.500 0.872
Os: 0.000 0.000 0.500
Os: 0.000 0.500 0.372
Os: 0.500 0.000 0.628
Os: 0.500 0.500 0.250

- formation energy from the elements (kcal/mol of atoms) = -10.0
- symmetry = P-4c2
- crystal system = tetragonal

***

# 3
## EuB2Ir2 (r2SCAN)

Data for EuB2Ir2 after structural relaxation.

Cell lengths 5.573, 5.573, 6.143 Å; angles 105.34, 105.34, 114.63 degrees
Sites, in units of the cell vectors:
Eu: 0.875 0.125 0.250
Eu: 0.125 0.875 0.750
B: 0.551 0.449 0.250
B: 0.449 0.551 0.750
B: 0.199 0.801 0.250
B: 0.801 0.199 0.750
Ir: 0.494 0.244 0.489
Ir: 0.756 0.506 0.011
Ir: 0.244 0.494 0.989
Ir: 0.506 0.756 0.511

- formation energy from the elements (kcal/mol of atoms) = -18.2
- symmetry = Fddd
- crystal system = orthorhombic

***

# 4
## Nd2S3O12 (r2SCAN)

Data for Nd2S3O12 after structural relaxation.

Cell lengths 11.258, 11.258, 6.917 Å; angles 73.69, 73.69, 34.55 degrees
Sites, in units of the cell vectors:
O: 0.157 0.538 0.304
O: 0.519 0.592 0.644
O: 0.483 0.872 0.503
O: 0.849 0.856 0.126
O: 0.398 0.105 0.209
O: 0.105 0.398 0.709
O: 0.895 0.602 0.291
O: 0.872 0.483 0.003
O: 0.602 0.895 0.791
O: 0.843 0.462 0.696
O: 0.481 0.408 0.356
O: 0.191 0.763 0.609
O: 0.763 0.191 0.109
O: 0.151 0.144 0.874
O: 0.517 0.128 0.497
O: 0.144 0.151 0.374
O: 0.237 0.809 0.891
O: 0.856 0.849 0.626
O: 0.128 0.517 0.997
O: 0.809 0.237 0.391
O: 0.538 0.157 0.804
O: 0.592 0.519 0.144
O: 0.462 0.843 0.196
O: 0.408 0.481 0.856
S: 0.633 0.999 0.679
S: 0.667 0.333 0.250
S: 0.367 0.001 0.321
S: 0.001 0.367 0.821
S: 0.999 0.633 0.179
S: 0.333 0.667 0.750
Nd: 0.514 0.223 0.131
Nd: 0.777 0.486 0.369
Nd: 0.486 0.777 0.869
Nd: 0.223 0.514 0.631

- formation energy from the elements (kcal/mol of atoms) = -53.9
- symmetry = C2/c
- crystal system = monoclinic

***

# 5
## BSe2 (r2SCAN)

Data for BSe2 after structural relaxation.

Cell lengths 7.422, 8.221, 11.257 Å; angles 90.00, 90.00, 115.14 degrees
Sites, in units of the cell vectors:
Se: 0.969 0.223 0.465
Se: 0.318 0.741 0.302
Se: 0.182 0.759 0.802
Se: 0.894 0.790 0.264
Se: 0.031 0.777 0.535
Se: 0.534 0.276 0.422
Se: 0.531 0.277 0.965
Se: 0.034 0.776 0.078
Se: 0.966 0.224 0.922
Se: 0.818 0.241 0.198
Se: 0.394 0.290 0.236
Se: 0.682 0.259 0.698
Se: 0.606 0.710 0.764
Se: 0.469 0.723 0.035
Se: 0.106 0.210 0.736
Se: 0.466 0.724 0.578
B: 0.091 0.768 0.367
B: 0.409 0.732 0.867
B: 0.264 0.748 0.133
B: 0.591 0.268 0.133
B: 0.764 0.248 0.367
B: 0.909 0.232 0.633
B: 0.236 0.752 0.633
B: 0.736 0.252 0.867

- formation energy from the elements (kcal/mol of atoms) = -4.5
- symmetry = P2_1/c
- crystal system = monoclinic

***

# 6
## Cs5Sb8 (r2SCAN)

Data for Cs5Sb8 after structural relaxation.

Cell lengths 7.392, 11.565, 28.135 Å; angles 90.00, 96.98, 90.00 degrees
Sites, in units of the cell vectors:
Cs: 0.026 0.185 0.377
Cs: 0.026 0.315 0.877
Cs: 0.259 0.897 0.479
Cs: 0.711 0.963 0.242
Cs: 0.289 0.463 0.258
Cs: 0.974 0.815 0.623
Cs: 0.476 0.930 0.074
Cs: 0.476 0.570 0.574
Cs: 0.764 0.307 0.189
Cs: 0.289 0.037 0.758
Cs: 0.524 0.430 0.426
Cs: 0.259 0.603 0.979
Cs: 0.524 0.070 0.926
Cs: 0.741 0.397 0.021
Cs: 0.711 0.537 0.742
Cs: 0.741 0.103 0.521
Cs: 0.236 0.693 0.811
Cs: 0.764 0.193 0.689
Cs: 0.974 0.685 0.123
Cs: 0.236 0.807 0.311
Sb: 0.513 0.200 0.317
Sb: 0.468 0.961 0.609
Sb: 0.012 0.976 0.875
Sb: 0.061 0.597 0.472
Sb: 0.696 0.858 0.836
Sb: 0.487 0.800 0.683
Sb: 0.468 0.539 0.109
Sb: 0.762 0.752 0.476
Sb: 0.061 0.903 0.972
Sb: 0.304 0.142 0.164
Sb: 0.193 0.129 0.256
Sb: 0.304 0.358 0.664
Sb: 0.532 0.461 0.891
Sb: 0.192 0.139 0.613
Sb: 0.193 0.371 0.756
Sb: 0.513 0.300 0.817
Sb: 0.807 0.871 0.744
Sb: 0.939 0.403 0.528
Sb: 0.988 0.024 0.125
Sb: 0.238 0.252 0.024
Sb: 0.696 0.642 0.336
Sb: 0.988 0.476 0.625
Sb: 0.762 0.748 0.976
Sb: 0.939 0.097 0.028
Sb: 0.192 0.361 0.113
Sb: 0.012 0.524 0.375
Sb: 0.238 0.248 0.524
Sb: 0.808 0.861 0.387
Sb: 0.808 0.639 0.887
Sb: 0.487 0.700 0.183
Sb: 0.807 0.629 0.244
Sb: 0.532 0.039 0.391

- formation energy from the elements (kcal/mol of atoms) = -11.2
- symmetry = P2_1/c
- crystal system = monoclinic

***

# 7
## DyAgGe (r2SCAN)

Data for DyAgGe after structural relaxation.

Cell lengths 7.116, 7.116, 4.200 Å; angles 90.00, 90.00, 120.00 degrees
Sites, in units of the cell vectors:
Ge: 0.333 0.667 0.500
Ge: 0.667 0.333 0.500
Ge: 0.000 0.000 0.000
Dy: 0.584 0.000 0.000
Dy: 0.000 0.584 0.000
Dy: 0.416 0.416 0.000
Ag: 0.251 0.000 0.500
Ag: 0.749 0.749 0.500
Ag: 0.000 0.251 0.500

- formation energy from the elements (kcal/mol of atoms) = -16.7
- symmetry = P-62m
- crystal system = hexagonal

***

# 8
## LiHf2Tc (r2SCAN)

Data for LiHf2Tc after structural relaxation.

Cell lengths 4.617, 4.617, 4.617 Å; angles 60.00, 60.00, 60.00 degrees
Sites, in units of the cell vectors:
Tc: 0.750 0.750 0.750
Li: 0.250 0.250 0.250
Hf: 0.000 0.000 0.000
Hf: 0.500 0.500 0.500

- formation energy from the elements (kcal/mol of atoms) = -5.3
- symmetry = Fm-3m
- crystal system = cubic

***

# 9
## Al2SiO5 (r2SCAN)

Data for Al2SiO5 after structural relaxation.

Cell lengths 5.554, 7.784, 7.887 Å; angles 90.00, 90.00, 90.00 degrees
Sites, in units of the cell vectors:
O: 0.760 0.229 0.133
O: 0.500 0.577 0.637
O: 0.000 0.425 0.362
O: 0.260 0.729 0.367
O: 0.000 0.575 0.638
O: 0.760 0.771 0.867
O: 0.500 0.925 0.138
O: 0.500 0.603 0.100
O: 0.000 0.103 0.400
O: 0.240 0.771 0.867
O: 0.500 0.397 0.900
O: 0.000 0.077 0.863
O: 0.000 0.897 0.600
O: 0.000 0.923 0.137
O: 0.500 0.423 0.363
O: 0.740 0.729 0.367
O: 0.740 0.271 0.633
O: 0.240 0.229 0.133
O: 0.500 0.075 0.862
O: 0.260 0.271 0.633
Al: 0.758 0.000 0.000
Al: 0.500 0.630 0.862
Al: 0.742 0.500 0.500
Al: 0.500 0.370 0.138
Al: 0.258 0.500 0.500
Al: 0.000 0.130 0.638
Al: 0.242 0.000 0.000
Al: 0.000 0.870 0.362
Si: 0.000 0.246 0.251
Si: 0.500 0.746 0.249
Si: 0.500 0.254 0.751
Si: 0.000 0.754 0.749

- formation energy from the elements (kcal/mol of atoms) = -74.7
- symmetry = Pnnm
- crystal system = orthorhombic

***

# 10
## Ga5CuTe8 (r2SCAN)

Data for Ga5CuTe8 after structural relaxation.

Cell lengths 5.937, 5.937, 12.064 Å; angles 90.00, 90.00, 90.00 degrees
Sites, in units of the cell vectors:
Ga: 0.000 0.500 0.256
Ga: 0.000 0.000 0.000
Ga: 0.000 0.500 0.744
Ga: 0.500 0.000 0.256
Ga: 0.500 0.000 0.744
Te: 0.241 0.241 0.614
Te: 0.733 0.733 0.117
Te: 0.759 0.241 0.386
Te: 0.267 0.267 0.117
Te: 0.241 0.759 0.386
Te: 0.267 0.733 0.883
Te: 0.759 0.759 0.614
Te: 0.733 0.267 0.883
Cu: 0.500 0.500 0.500

- formation energy from the elements (kcal/mol of atoms) = -8.8
- symmetry = P-42m
- crystal system = tetragonal

***

# 11
## Sm2TlHg (r2SCAN)

Data for Sm2TlHg after structural relaxation.

Cell lengths 5.383, 5.383, 5.383 Å; angles 60.00, 60.00, 60.00 degrees
Sites, in units of the cell vectors:
Sm: 0.500 0.500 0.500
Sm: 0.000 0.000 0.000
Tl: 0.750 0.750 0.750
Hg: 0.250 0.250 0.250

- formation energy from the elements (kcal/mol of atoms) = -12.5
- symmetry = Fm-3m
- crystal system = cubic

***

# 12
## Hf2TcIr (r2SCAN)

Data for Hf2TcIr after structural relaxation.

Cell lengths 4.588, 4.588, 4.588 Å; angles 60.00, 60.00, 60.00 degrees
Sites, in units of the cell vectors:
Ir: 0.500 0.500 0.500
Tc: 0.000 0.000 0.000
Hf: 0.750 0.750 0.750
Hf: 0.250 0.250 0.250

- formation energy from the elements (kcal/mol of atoms) = -22.4
- symmetry = Fm-3m
- crystal system = cubic

***

Question: Number 6 is which compound?
Answer: Cs5Sb8

***

Question: The highest formation energy from the elements belongs to which entry?
Answer: BSe2

***

Question: What is the formation energy from the elements in the sixth record?
Answer: -11.2 kcal/mol of atoms

***

Question: Which formula does entry 6 have?
Answer: Cs5Sb8